Entry 1:
{
  "formula": "La3Nb8O24",
  "functional": "PBE",
  "state": "relaxed",
  "formation_enthalpy_0k_ev_per_atom": -3.27,
  "crystal_system": "monoclinic",
  "total_magnetization_mub_per_cell": 0.001,
  "lattice": [[7.9712, -3.9833, 0.0000], [7.9712, 3.9833, 0.0000], [-3.9850, 0.0000, 8.0553]],
  "species": ["La", "La", "La", "Nb", "Nb", "Nb", "Nb", "Nb", "Nb", "Nb", "Nb", "O", "O", "O", "O", "O", "O", "O", "O", "O", "O", "O", "O", "O", "O", "O", "O", "O", "O", "O", "O", "O", "O", "O", "O"],
  "frac_coords": [[0.0000, 0.0000, 0.0000], [0.2493, 0.2493, 0.0001], [0.7507, 0.7507, 0.9999], [0.0657, 0.5582, 0.7410], [0.1951, 0.6878, 0.2591], [0.3122, 0.8049, 0.7409], [0.4418, 0.9343, 0.2590], [0.5582, 0.0657, 0.7410], [0.6878, 0.1951, 0.2591], [0.8049, 0.3122, 0.7409], [0.9343, 0.4418, 0.2590], [0.0000, 0.5000, 0.5000], [0.0564, 0.5562, 0.2254], [0.0704, 0.0704, 0.7778], [0.1100, 0.6297, 0.0000], [0.1804, 0.7039, 0.7686], [0.1815, 0.1815, 0.2222], [0.2491, 0.7509, 0.5000], [0.2961, 0.8196, 0.2314], [0.3127, 0.3127, 0.7706], [0.3703, 0.8900, 0.0000], [0.4273, 0.4273, 0.2294], [0.4438, 0.9436, 0.7746], [0.5000, 0.0000, 0.5000], [0.5562, 0.0564, 0.2254], [0.5727, 0.5727, 0.7706], [0.6297, 0.1100, 0.0000], [0.6873, 0.6873, 0.2294], [0.7039, 0.1804, 0.7686], [0.7509, 0.2491, 0.5000], [0.8185, 0.8185, 0.7778], [0.8196, 0.2961, 0.2314], [0.8900, 0.3703, 0.0000], [0.9296, 0.9296, 0.2222], [0.9436, 0.4438, 0.7746]]
}


Entry 2:
{
  "formula": "LaNbO4",
  "functional": "PBE",
  "state": "relaxed",
  "formation_enthalpy_0k_ev_per_atom": -3.56,
  "crystal_system": "tetragonal",
  "lattice": [[-2.7239, 2.7239, 5.8691], [2.7239, -2.7239, 5.8691], [2.7239, 2.7239, -5.8691]],
  "species": ["La", "La", "Nb", "Nb", "O", "O", "O", "O", "O", "O", "O", "O"],
  "frac_coords": [[0.3750, 0.1250, 0.2500], [0.6250, 0.8750, 0.7500], [0.1250, 0.3750, 0.7500], [0.8750, 0.6250, 0.2500], [0.0497, 0.7075, 0.8355], [0.2075, 0.8720, 0.6577], [0.2858, 0.4503, 0.1577], [0.3720, 0.2142, 0.6645], [0.6280, 0.7858, 0.3355], [0.7142, 0.5497, 0.8423], [0.7925, 0.1280, 0.3423], [0.9503, 0.2925, 0.1645]]
}


Entry 3:
{
  "formula": "LaNbO4",
  "functional": "PBE",
  "state": "relaxed",
  "formation_enthalpy_0k_ev_per_atom": -3.56,
  "crystal_system": "monoclinic",
  "lattice": [[3.7857, -5.8503, 0.0000], [3.7857, 5.8503, 0.0000], [-3.6739, 0.0000, 3.9039]],
  "species": ["La", "La", "Nb", "Nb", "O", "O", "O", "O", "O", "O", "O", "O"],
  "frac_coords": [[0.1267, 0.8733, 0.7500], [0.8733, 0.1267, 0.2500], [0.3849, 0.6151, 0.2500], [0.6151, 0.3849, 0.7500], [0.1371, 0.5531, 0.3378], [0.2200, 0.2916, 0.8276], [0.2916, 0.2200, 0.3276], [0.4469, 0.8629, 0.1622], [0.5531, 0.1371, 0.8378], [0.7084, 0.7800, 0.6724], [0.7800, 0.7084, 0.1724], [0.8629, 0.4469, 0.6622]]
}


Entry 4:
{
  "formula": "LaNb5O14",
  "functional": "PBE",
  "state": "relaxed",
  "formation_enthalpy_0k_ev_per_atom": -3.17,
  "crystal_system": "orthorhombic",
  "total_magnetization_mub_per_cell": 0.000,
  "lattice": [[3.9298, 0.0000, 0.0000], [0.0000, 12.6632, 0.0000], [0.0000, 0.0000, 20.4599]],
  "species": ["La", "La", "La", "La", "Nb", "Nb", "Nb", "Nb", "Nb", "Nb", "Nb", "Nb", "Nb", "Nb", "Nb", "Nb", "Nb", "Nb", "Nb", "Nb", "Nb", "Nb", "Nb", "Nb", "O", "O", "O", "O", "O", "O", "O", "O", "O", "O", "O", "O", "O", "O", "O", "O", "O", "O", "O", "O", "O", "O", "O", "O", "O", "O", "O", "O", "O", "O", "O", "O", "O", "O", "O", "O", "O", "O", "O", "O", "O", "O", "O", "O", "O", "O", "O", "O", "O", "O", "O", "O", "O", "O", "O", "O"],
  "frac_coords": [[0.0040, 0.2500, 0.0000], [0.0040, 0.2500, 0.5000], [0.9960, 0.7500, 0.0000], [0.9960, 0.7500, 0.5000], [0.4513, 0.9996, 0.2500], [0.4513, 0.5004, 0.7500], [0.4664, 0.2256, 0.6558], [0.4664, 0.2256, 0.8442], [0.4664, 0.2744, 0.1558], [0.4664, 0.2744, 0.3442], [0.4991, 0.5417, 0.0772], [0.4991, 0.5417, 0.4228], [0.4991, 0.9583, 0.5772], [0.4991, 0.9583, 0.9228], [0.5009, 0.0417, 0.0772], [0.5009, 0.0417, 0.4228], [0.5009, 0.4583, 0.5772], [0.5009, 0.4583, 0.9228], [0.5336, 0.7256, 0.6558], [0.5336, 0.7256, 0.8442], [0.5336, 0.7744, 0.1558], [0.5336, 0.7744, 0.3442], [0.5487, 0.0004, 0.7500], [0.5487, 0.4996, 0.2500], [0.0006, 0.0662, 0.0736], [0.0006, 0.0662, 0.4264], [0.0006, 0.4338, 0.5736], [0.0006, 0.4338, 0.9264], [0.0028, 0.7091, 0.6377], [0.0028, 0.7091, 0.8623], [0.0028, 0.7909, 0.1377], [0.0028, 0.7909, 0.3623], [0.0127, 0.0040, 0.7500], [0.0127, 0.4960, 0.2500], [0.4807, 0.1302, 0.1855], [0.4807, 0.1302, 0.3145], [0.4807, 0.3698, 0.6855], [0.4807, 0.3698, 0.8145], [0.4847, 0.6753, 0.7500], [0.4847, 0.8247, 0.2500], [0.4925, 0.0875, 0.5270], [0.4925, 0.0875, 0.9730], [0.4925, 0.4125, 0.0270], [0.4925, 0.4125, 0.4730], [0.4941, 0.7091, 0.0668], [0.4941, 0.7091, 0.4332], [0.4941, 0.7909, 0.5668], [0.4941, 0.7909, 0.9332], [0.4973, 0.5579, 0.6538], [0.4973, 0.5579, 0.8462], [0.4973, 0.9421, 0.1538], [0.4973, 0.9421, 0.3462], [0.5027, 0.0579, 0.6538], [0.5027, 0.0579, 0.8462], [0.5027, 0.4421, 0.1538], [0.5027, 0.4421, 0.3462], [0.5059, 0.2091, 0.0668], [0.5059, 0.2091, 0.4332], [0.5059, 0.2909, 0.5668], [0.5059, 0.2909, 0.9332], [0.5075, 0.5875, 0.5270], [0.5075, 0.5875, 0.9730], [0.5075, 0.9125, 0.0270], [0.5075, 0.9125, 0.4730], [0.5153, 0.1753, 0.7500], [0.5153, 0.3247, 0.2500], [0.5193, 0.6302, 0.1855], [0.5193, 0.6302, 0.3145], [0.5193, 0.8698, 0.6855], [0.5193, 0.8698, 0.8145], [0.9873, 0.5040, 0.7500], [0.9873, 0.9960, 0.2500], [0.9972, 0.2091, 0.6377], [0.9972, 0.2091, 0.8623], [0.9972, 0.2909, 0.1377], [0.9972, 0.2909, 0.3623], [0.9994, 0.5662, 0.0736], [0.9994, 0.5662, 0.4264], [0.9994, 0.9338, 0.5736], [0.9994, 0.9338, 0.9264]]
}


Entry 5:
{
  "formula": "LaNb3P6O24",
  "functional": "PBE",
  "state": "relaxed",
  "formation_enthalpy_0k_ev_per_atom": -2.94,
  "crystal_system": "trigonal",
  "total_magnetization_mub_per_cell": 0.000,
  "lattice": [[8.9931, 0.0000, 0.0000], [-4.4966, 7.7883, 0.0000], [0.0000, 0.0000, 23.0462]],
  "species": ["La", "La", "La", "Nb", "Nb", "Nb", "Nb", "Nb", "Nb", "Nb", "Nb", "Nb", "P", "P", "P", "P", "P", "P", "P", "P", "P", "P", "P", "P", "P", "P", "P", "P", "P", "P", "O", "O", "O", "O", "O", "O", "O", "O", "O", "O", "O", "O", "O", "O", "O", "O", "O", "O", "O", "O", "O", "O", "O", "O", "O", "O", "O", "O", "O", "O", "O", "O", "O", "O", "O", "O", "O", "O", "O", "O", "O", "O", "O", "O", "O", "O", "O", "O", "O", "O", "O", "O", "O", "O", "O", "O", "O", "O", "O", "O", "O", "O", "O", "O", "O", "O", "O", "O", "O", "O", "O", "O"],
  "frac_coords": [[0.0000, 0.0000, 0.0000], [0.0000, 0.0000, 0.4907], [0.3333, 0.6667, 0.6755], [0.0000, 0.0000, 0.2861], [0.0000, 0.0000, 0.7836], [0.3333, 0.6667, 0.1662], [0.3333, 0.6667, 0.4534], [0.3333, 0.6667, 0.9476], [0.6667, 0.3333, 0.1153], [0.6667, 0.3333, 0.3235], [0.6667, 0.3333, 0.6136], [0.6667, 0.3333, 0.8294], [0.0034, 0.2950, 0.8877], [0.0038, 0.7010, 0.3850], [0.0378, 0.3905, 0.5567], [0.0509, 0.6471, 0.0591], [0.2916, 0.9966, 0.8877], [0.2990, 0.3029, 0.3850], [0.3529, 0.4038, 0.0591], [0.3527, 0.9622, 0.5567], [0.3774, 0.0516, 0.2209], [0.3789, 0.3052, 0.7248], [0.5962, 0.9491, 0.0591], [0.6095, 0.6473, 0.5567], [0.6741, 0.6226, 0.2209], [0.6948, 0.0736, 0.7248], [0.6971, 0.9962, 0.3850], [0.7050, 0.7084, 0.8877], [0.9264, 0.6211, 0.7248], [0.9484, 0.3259, 0.2209], [0.0302, 0.8320, 0.3341], [0.0309, 0.8019, 0.0579], [0.0383, 0.2037, 0.8367], [0.1019, 0.6425, 0.7275], [0.1308, 0.4844, 0.2119], [0.1357, 0.6253, 0.0038], [0.1367, 0.5071, 0.5010], [0.1422, 0.4669, 0.6101], [0.1568, 0.6589, 0.1142], [0.1654, 0.9617, 0.8367], [0.1680, 0.1982, 0.3341], [0.1677, 0.6910, 0.3941], [0.1710, 0.4742, 0.8991], [0.1981, 0.2290, 0.0579], [0.1992, 0.0314, 0.2338], [0.1996, 0.1391, 0.7342], [0.2149, 0.0053, 0.5449], [0.2347, 0.0443, 0.9423], [0.2509, 0.1941, 0.4385], [0.3032, 0.8290, 0.8991], [0.3090, 0.4767, 0.3941], [0.3247, 0.8578, 0.6101], [0.3411, 0.4978, 0.1142], [0.3536, 0.8692, 0.2119], [0.3575, 0.4594, 0.7275], [0.3704, 0.8633, 0.5010], [0.3747, 0.5104, 0.0038], [0.4631, 0.1687, 0.1676], [0.4638, 0.2874, 0.6690], [0.4775, 0.1376, 0.8728], [0.4783, 0.3323, 0.3649], [0.4847, 0.3127, 0.7785], [0.4896, 0.8643, 0.0038], [0.4929, 0.6296, 0.5010], [0.4970, 0.1357, 0.2727], [0.5022, 0.8432, 0.1142], [0.5156, 0.6464, 0.2119], [0.5203, 0.3916, 0.0683], [0.5233, 0.8323, 0.3941], [0.5258, 0.6968, 0.8991], [0.5285, 0.1356, 0.5638], [0.5331, 0.6753, 0.6101], [0.5406, 0.8981, 0.7275], [0.6070, 0.4715, 0.5638], [0.6084, 0.1287, 0.0683], [0.6387, 0.5030, 0.2727], [0.6600, 0.5225, 0.8728], [0.6677, 0.1461, 0.3649], [0.6873, 0.1721, 0.7785], [0.7056, 0.5369, 0.1676], [0.7126, 0.1764, 0.6690], [0.7710, 0.9691, 0.0579], [0.7904, 0.7851, 0.5449], [0.7963, 0.8346, 0.8367], [0.8018, 0.9698, 0.3341], [0.8059, 0.0568, 0.4385], [0.8096, 0.7653, 0.9423], [0.8236, 0.5362, 0.6690], [0.8279, 0.5153, 0.7785], [0.8313, 0.2944, 0.1676], [0.8322, 0.8008, 0.2338], [0.8539, 0.5217, 0.3649], [0.8609, 0.0605, 0.7342], [0.8624, 0.3400, 0.8728], [0.8643, 0.3613, 0.2727], [0.8644, 0.3930, 0.5638], [0.8713, 0.4797, 0.0683], [0.9395, 0.8004, 0.7342], [0.9432, 0.7491, 0.4385], [0.9557, 0.1904, 0.9423], [0.9686, 0.1678, 0.2338], [0.9947, 0.2096, 0.5449]]
}


Entry 6:
{
  "formula": "LaNbP2SO12",
  "functional": "PBE",
  "state": "relaxed",
  "formation_enthalpy_0k_ev_per_atom": -2.81,
  "total_magnetization_mub_per_cell": 0.000,
  "lattice": [[9.3140, 0.0000, 0.0000], [-4.6570, 8.0102, -0.0798], [0.0000, -0.2584, 22.8310]],
  "species": ["P", "P", "P", "P", "P", "P", "P", "P", "P", "P", "P", "P", "O", "O", "O", "O", "O", "O", "O", "O", "O", "O", "O", "O", "O", "O", "O", "O", "O", "O", "O", "O", "O", "O", "O", "O", "O", "O", "O", "O", "O", "O", "O", "O", "O", "O", "O", "O", "O", "O", "O", "O", "O", "O", "O", "O", "O", "O", "O", "O", "O", "O", "O", "O", "O", "O", "O", "O", "O", "O", "O", "O", "O", "O", "O", "O", "O", "O", "O", "O", "O", "O", "O", "O", "La", "La", "La", "La", "La", "La", "Nb", "Nb", "Nb", "Nb", "Nb", "Nb", "S", "S", "S", "S", "S", "S"],
  "frac_coords": [[0.5904, 0.9660, 0.4171], [0.9238, 0.6327, 0.0838], [0.2571, 0.2994, 0.7504], [0.7051, 0.9677, 0.7492], [0.7089, 0.6327, 0.5838], [0.0384, 0.6344, 0.4159], [0.3718, 0.3010, 0.0825], [0.0423, 0.2994, 0.2504], [0.3756, 0.9660, 0.9171], [0.5959, 0.6344, 0.9159], [0.9293, 0.3010, 0.5825], [0.2626, 0.9677, 0.2492], [0.4776, 0.6065, 0.8610], [0.3453, 0.4674, 0.4699], [0.5459, 0.1359, 0.9283], [0.4400, 0.0937, 0.2359], [0.7733, 0.7604, 0.9026], [0.9197, 0.5622, 0.7396], [0.6723, 0.5292, 0.6375], [0.2530, 0.2288, 0.4062], [0.4681, 0.8687, 0.3630], [0.4758, 0.3341, 0.1364], [0.5352, 0.7923, 0.7575], [0.2462, 0.0122, 0.9025], [0.1289, 0.6065, 0.3610], [0.9871, 0.7604, 0.4026], [0.0119, 0.8008, 0.8032], [0.1425, 0.6675, 0.4698], [0.3091, 0.8955, 0.5729], [0.5905, 0.4590, 0.9242], [0.5900, 0.1359, 0.4283], [0.8014, 0.5354, 0.0297], [0.5250, 0.6675, 0.9698], [0.4413, 0.1766, 0.5319], [0.8091, 0.0008, 0.8031], [0.4555, 0.1341, 0.6365], [0.9758, 0.2288, 0.9062], [0.8569, 0.5292, 0.1375], [0.0686, 0.8432, 0.6986], [0.3390, 0.8625, 0.9708], [0.4623, 0.2732, 0.0277], [0.3204, 0.4271, 0.0693], [0.6786, 0.1341, 0.1365], [0.9129, 0.3456, 0.2358], [0.7888, 0.8008, 0.3032], [0.5796, 0.6789, 0.5691], [0.8109, 0.2732, 0.5277], [0.1916, 0.0008, 0.3031], [0.2107, 0.7389, 0.7589], [0.1949, 0.0722, 0.5922], [0.1902, 0.1959, 0.8042], [0.1347, 0.2020, 0.6964], [0.5236, 0.8625, 0.4708], [0.8616, 0.4055, 0.9256], [0.2126, 0.4692, 0.2616], [0.7746, 0.8432, 0.1986], [0.0993, 0.6789, 0.0691], [0.5282, 0.7389, 0.2589], [0.1222, 0.4674, 0.9699], [0.6425, 0.5622, 0.2396], [0.4019, 0.5099, 0.3652], [0.7956, 0.9398, 0.6944], [0.1080, 0.5099, 0.8652], [0.0056, 0.1959, 0.3042], [0.5440, 0.4055, 0.4256], [0.0673, 0.2020, 0.1964], [0.8792, 0.8026, 0.5949], [0.7340, 0.5354, 0.5297], [0.4006, 0.8687, 0.8630], [0.2019, 0.1257, 0.0908], [0.6538, 0.0937, 0.7359], [0.8685, 0.4590, 0.4242], [0.7353, 0.1766, 0.0319], [0.8583, 0.3341, 0.6364], [0.7660, 0.0122, 0.4025], [0.9233, 0.8026, 0.0949], [0.5863, 0.8955, 0.0729], [0.8773, 0.0722, 0.0922], [0.2571, 0.7923, 0.2575], [0.1443, 0.9398, 0.1944], [0.9238, 0.1257, 0.5908], [0.4326, 0.3456, 0.7358], [0.1067, 0.4271, 0.5693], [0.2567, 0.4692, 0.7616], [0.9969, 0.0026, 0.3687], [0.0057, 0.0026, 0.8687], [0.3302, 0.6693, 0.0354], [0.6724, 0.3360, 0.2021], [0.3391, 0.6693, 0.5354], [0.6636, 0.3360, 0.7021], [0.3524, 0.6755, 0.8097], [0.6565, 0.3422, 0.9763], [0.0190, 0.0088, 0.1430], [0.9898, 0.0088, 0.6430], [0.6857, 0.3422, 0.4763], [0.3231, 0.6755, 0.3097], [0.0472, 0.7370, 0.7495], [0.0231, 0.4037, 0.9162], [0.6898, 0.7370, 0.2495], [0.7139, 0.0703, 0.0829], [0.3806, 0.4037, 0.4162], [0.3564, 0.0703, 0.5829]]
}


| no. | energy (eV/atom) | E (MP2020) (Ha/atom) | density (Mg/m³) |
| --- | --- | --- | --- |
| 1 | -8.928 | -0.345 | 5.01 |
| 2 | -8.905 | -0.344 | 5.64 |
| 3 | -8.904 | -0.344 | 5.68 |
| 4 | -8.921 | -0.346 | 5.40 |
| 5 | -7.943 | -0.310 | 3.05 |
| 6 | -7.584 | -0.297 | 3.03 |